(1)
Compound: LaMg2
Source: the Materials Project
Functional: r²SCAN
Structure: relaxed

Results
- Formation enthalpy at 0 K: -0.124 eV/atom

Lattice parameters (Å, degrees): 6.2161 6.2161 10.1291 90.00 90.00 120.00
Last column: nearest neighbours and their distance in Å.
Space group P6_3/mmc (No. 194)
One atom of each set of equivalent atoms:
La1 0.3333 0.6667 0.0716 [4 per cell]  12 Mg 3.60-3.70, 4 La 3.61-3.87
Mg1 0.0000 0.0000 0.0000 [2 per cell]  6 Mg 3.12
Mg2 0.1700 0.3399 0.7500 [6 per cell]  6 Mg 3.05-3.17

***

(2)
Compound: La3Mg
Source: the Materials Project
Functional: r²SCAN
Structure: relaxed

Results
- Formation enthalpy at 0 K: -0.022 eV/atom

Lattice parameters (Å, degrees): 5.1391 5.1391 5.1391 90.00 90.00 90.00
Last column: nearest neighbours and their distance in Å.
Space group Pm-3m (No. 221)
One atom of each set of equivalent atoms:
La1 0.0000 0.0000 0.5000 [3 per cell]  8 La 3.63, 4 Mg 3.63
Mg1 0.5000 0.5000 0.5000 [1 per cell]  12 La 3.63

***

- Which formula does entry 2 have?
  La3Mg